[1]
Compound: FeCu2SnS4
Source: the Materials Project database
Functional: PBE-GGA
Structure: optimized geometry

Output
As for the uncorrected energy: -4.985 eV/atom. The value obtained for the polymorph energy (0 for the lowest one) is 0 kJ/mol of formula units.

Cell and atoms, written as POSCAR:
```
FeCu2SnS4
1.0
-2.734 2.734 5.359
2.734 -2.734 5.359
2.734 2.734 -5.359
Cu Fe S Sn
2 1 4 1
direct
0.750 0.250 0.500
0.250 0.750 0.500
0.000 0.000 0.000
0.635 0.635 0.534
0.899 0.365 0.000
0.101 0.101 0.466
0.365 0.899 0.000
0.500 0.500 0.000
```

***

[2]
Compound: FeCu6Sn2S8
Source: the Materials Project database
Functional: PBE-GGA
Structure: optimized geometry

Output
As for the uncorrected energy: -4.569 eV/atom.

Cell and atoms, written as POSCAR:
```
FeCu6Sn2S8
1.0
7.773 0.000 0.000
0.000 7.773 0.000
0.000 0.000 5.452
Sn S Cu Fe
2 8 6 1
direct
0.500 0.500 0.500
0.000 0.000 0.000
0.500 0.235 0.771
0.740 0.000 0.262
0.000 0.260 0.738
0.260 0.000 0.262
0.500 0.765 0.771
0.765 0.500 0.229
0.235 0.500 0.229
0.000 0.740 0.738
0.759 0.241 0.500
0.759 0.759 0.500
0.500 0.000 0.027
0.241 0.759 0.500
0.000 0.500 0.973
0.241 0.241 0.500
0.500 0.500 0.000
```

***

[3]
Compound: FeCu2Sn3S8
Source: the Materials Project database
Functional: PBE-GGA
Structure: optimized geometry

Output
As for the uncorrected energy: -4.794 eV/atom.

Cell and atoms, written as POSCAR:
```
FeCu2Sn3S8
1.0
6.348 -3.653 0.000
6.348 3.653 0.000
4.246 0.000 5.968
S Cu Sn Fe
8 2 3 1
direct
0.773 0.226 0.773
0.227 0.774 0.227
0.226 0.773 0.773
0.774 0.227 0.227
0.227 0.227 0.774
0.749 0.749 0.749
0.773 0.773 0.226
0.251 0.251 0.251
0.379 0.379 0.379
0.621 0.621 0.621
0.000 0.500 0.000
0.500 0.000 0.000
0.000 0.000 0.500
0.000 0.000 0.000
```

***

[4]
Compound: ZnFe4Cu10Sn5S20
Source: the Materials Project database
Functional: PBE-GGA
Structure: optimized geometry

Output
As for the uncorrected energy: -4.828 eV/atom.

Cell and atoms, written as POSCAR:
```
ZnFe4Cu10Sn5S20
1.0
-5.044 1.091 1.699
-1.184 -5.301 -0.113
11.157 -0.232 24.588
S Cu Zn Sn Fe
20 10 1 5 4
direct
0.668 0.186 0.854
0.940 0.940 0.347
0.207 0.207 0.947
0.007 0.007 0.547
0.340 0.340 0.147
0.993 0.460 0.453
0.740 0.740 0.947
0.593 0.060 0.653
0.260 0.793 0.053
0.614 0.614 0.746
0.186 0.668 0.854
0.060 0.593 0.653
0.860 0.393 0.253
0.407 0.407 0.347
0.793 0.260 0.053
0.540 0.540 0.547
0.132 0.132 0.746
0.807 0.807 0.147
0.393 0.860 0.253
0.460 0.993 0.453
0.450 0.950 0.901
0.950 0.450 0.901
0.050 0.550 0.100
0.350 0.850 0.699
0.650 0.150 0.300
0.250 0.750 0.500
0.150 0.650 0.300
0.550 0.050 0.100
0.750 0.250 0.500
0.850 0.350 0.699
0.400 0.400 0.800
0.900 0.900 0.800
0.700 0.700 0.400
0.100 0.100 0.200
0.500 0.500 0.000
0.300 0.300 0.600
0.600 0.600 0.200
0.200 0.200 0.400
0.000 0.000 0.000
0.800 0.800 0.600
```

***

Number 1: formation energy -4.67 eV/f.u.. Number 2: formation energy -7.51 eV/f.u.. Number 3: formation energy -9.35 eV/f.u.. Number 4: formation energy -24.26 eV/f.u..